The following is a DFT calculation (PBE-GGA) of an optimized crystal structure of ZnSb2N4.

a b c (Å): 8.946 8.946 8.946
angles (deg): 90.00 90.00 90.00
Positions (direct):
1 Zn 0.375 0.375 0.375
2 Zn 0.375 0.875 0.875
3 Zn 0.875 0.375 0.875
4 Zn 0.875 0.875 0.375
5 Zn 0.625 0.625 0.625
6 Zn 0.625 0.125 0.125
7 Zn 0.125 0.625 0.125
8 Zn 0.125 0.125 0.625
9 Sb 0.000 0.000 0.000
10 Sb 0.000 0.250 0.250
11 Sb 0.250 0.000 0.250
12 Sb 0.250 0.250 0.000
13 Sb 0.000 0.500 0.500
14 Sb 0.000 0.750 0.750
15 Sb 0.250 0.500 0.750
16 Sb 0.250 0.750 0.500
17 Sb 0.500 0.000 0.500
18 Sb 0.500 0.250 0.750
19 Sb 0.750 0.000 0.750
20 Sb 0.750 0.250 0.500
21 Sb 0.500 0.500 0.000
22 Sb 0.500 0.750 0.250
23 Sb 0.750 0.500 0.250
24 Sb 0.750 0.750 0.000
25 N 0.760 0.760 0.760
26 N 0.760 0.490 0.490
27 N 0.490 0.760 0.490
28 N 0.490 0.490 0.760
29 N 0.240 0.240 0.240
30 N 0.240 0.010 0.010
31 N 0.010 0.240 0.010
32 N 0.010 0.010 0.240
33 N 0.760 0.260 0.260
34 N 0.760 0.990 0.990
35 N 0.490 0.260 0.990
36 N 0.490 0.990 0.260
37 N 0.240 0.740 0.740
38 N 0.240 0.510 0.510
39 N 0.010 0.740 0.510
40 N 0.010 0.510 0.740
41 N 0.260 0.760 0.260
42 N 0.260 0.490 0.990
43 N 0.990 0.760 0.990
44 N 0.990 0.490 0.260
45 N 0.740 0.240 0.740
46 N 0.740 0.010 0.510
47 N 0.510 0.240 0.510
48 N 0.510 0.010 0.740
49 N 0.260 0.260 0.760
50 N 0.260 0.990 0.490
51 N 0.990 0.260 0.490
52 N 0.990 0.990 0.760
53 N 0.740 0.740 0.240
54 N 0.740 0.510 0.010
55 N 0.510 0.740 0.010
56 N 0.510 0.510 0.240

Properties
For the formation energy, the calculation gives 80.6 kJ/mol of formula units. The electronic total energy is -5.798 eV/atom.

The following is a DFT calculation (PBE-GGA) of an optimized crystal structure of Sr3Sc2N4.

a b c (Å): 7.352 7.352 6.190
angles (deg): 92.32 92.32 81.29
Positions (direct):
1 Sr 0.096 0.904 0.750
2 Sr 0.228 0.547 0.432
3 Sr 0.453 0.772 0.068
4 Sr 0.547 0.228 0.932
5 Sr 0.772 0.453 0.568
6 Sr 0.904 0.096 0.250
7 Sc 0.104 0.329 0.912
8 Sc 0.329 0.104 0.412
9 Sc 0.671 0.896 0.588
10 Sc 0.896 0.671 0.088
11 N 0.101 0.248 0.579
12 N 0.179 0.591 0.994
13 N 0.248 0.101 0.079
14 N 0.409 0.821 0.506
15 N 0.591 0.179 0.494
16 N 0.752 0.899 0.921
17 N 0.821 0.409 0.006
18 N 0.899 0.752 0.421

Properties
For the formation energy, the calculation gives -1046.6 kJ/mol of formula units. The magnetic moment comes out at 0.0 μB/f.u. The electronic total energy is -6.720 eV/atom.

The following is a DFT calculation (PBE-GGA) of an optimized crystal structure of Sr3ScN3.

a b c (Å): 7.988 7.988 5.388
angles (deg): 90.00 90.00 120.00
Positions (direct):
1 Sr 0.070 0.342 0.250
2 Sr 0.272 0.930 0.250
3 Sr 0.342 0.272 0.750
4 Sr 0.658 0.728 0.250
5 Sr 0.728 0.070 0.750
6 Sr 0.930 0.658 0.750
7 Sc 0.333 0.667 0.750
8 Sc 0.667 0.333 0.250
9 N 0.097 0.390 0.750
10 N 0.293 0.903 0.750
11 N 0.390 0.293 0.250
12 N 0.610 0.707 0.750
13 N 0.707 0.097 0.250
14 N 0.903 0.610 0.250

Properties
For the formation energy, the calculation gives -578.2 kJ/mol of formula units. The magnetic moment comes out at 0.0 μB/f.u. The electronic total energy is -5.903 eV/atom.